Record 1
Below is crystalline MgCo6O8F4 at its relaxed geometry, with properties calculated at the GGA+U level.

a = 4.9669 Å, b = 5.8208 Å, c = 7.6637 Å
α = 78.69°, β = 81.56°, γ = 78.80°
Element x y z (fractional)
Mg: 0.0000 0.0000 0.0000
Co: 0.0149 0.8061 0.6629
Co: 0.0397 0.1679 0.3526
Co: 0.0585 0.5069 0.0139
Co: 0.4909 0.2902 0.6695
Co: 0.4958 0.6389 0.3193
Co: 0.4979 0.9704 0.9978
O: 0.2050 0.1873 0.1073
O: 0.2084 0.8529 0.4343
O: 0.2141 0.5184 0.7719
O: 0.3075 0.7209 0.1016
O: 0.3180 0.0346 0.7975
O: 0.8143 0.1026 0.5688
O: 0.8244 0.4529 0.2347
O: 0.8264 0.7777 0.8986
F: 0.3122 0.3516 0.4370
F: 0.6688 0.5752 0.5512
F: 0.6946 0.2404 0.9025
F: 0.7011 0.9341 0.2059

Energy with MP2020 corrections in eV per atom: -6.389
Crystal system: triclinic
Space group: P1, No. 1

=====

Record 2
Below is crystalline Mg2Fe7O12 at its relaxed geometry, with properties calculated at the GGA+U level.

a = 6.0416 Å, b = 6.0416 Å, c = 13.5078 Å
α = 102.84°, β = 102.84°, γ = 89.77°
Element x y z (fractional)
Mg: 0.1662 0.6668 0.8338
Mg: 0.3332 0.8337 0.6662
Mg: 0.6668 0.1662 0.3338
Mg: 0.8337 0.3332 0.1662
Fe: 0.0000 0.0000 0.0000
Fe: 0.0000 0.0000 0.5000
Fe: 0.0000 0.5000 0.0000
Fe: 0.1284 0.8716 0.2500
Fe: 0.2014 0.4622 0.4153
Fe: 0.3321 0.3351 0.6668
Fe: 0.3351 0.3321 0.1668
Fe: 0.4622 0.2014 0.9153
Fe: 0.5000 0.0000 0.5000
Fe: 0.5378 0.7986 0.0847
Fe: 0.6649 0.6679 0.8332
Fe: 0.6679 0.6649 0.3332
Fe: 0.7986 0.5378 0.5847
Fe: 0.8716 0.1284 0.7500
O: 0.0847 0.0927 0.1610
O: 0.0875 0.5666 0.1663
O: 0.0927 0.0847 0.6610
O: 0.1018 0.5805 0.6707
O: 0.2378 0.7594 0.9970
O: 0.2406 0.7622 0.5030
O: 0.2452 0.2458 0.0053
O: 0.2458 0.2452 0.5053
O: 0.4188 0.4261 0.8282
O: 0.4195 0.8982 0.8293
O: 0.4261 0.4188 0.3282
O: 0.4334 0.9125 0.3337
O: 0.5666 0.0875 0.6663
O: 0.5739 0.5812 0.6718
O: 0.5805 0.1018 0.1707
O: 0.5812 0.5739 0.1718
O: 0.7542 0.7548 0.4947
O: 0.7548 0.7542 0.9947
O: 0.7594 0.2378 0.4970
O: 0.7622 0.2406 0.0030
O: 0.8982 0.4195 0.3293
O: 0.9073 0.9153 0.3390
O: 0.9125 0.4334 0.8337
O: 0.9153 0.9073 0.8390

Energy with MP2020 corrections in eV per atom: -7.704
Crystal system: monoclinic
Space group: C2/c, No. 15

=====

Record 3
Below is crystalline GeWO4 at its relaxed geometry, with properties calculated at the GGA+U level.

a = 7.6756 Å, b = 7.1208 Å, c = 14.7871 Å
α = 90.00°, β = 121.11°, γ = 90.00°
Element x y z (fractional)
Ge: 0.0228 0.2416 0.3688
Ge: 0.0228 0.2584 0.8688
Ge: 0.4007 0.0367 0.3104
Ge: 0.4007 0.4633 0.8104
Ge: 0.5993 0.5367 0.1896
Ge: 0.5993 0.9633 0.6896
Ge: 0.9772 0.7416 0.1312
Ge: 0.9772 0.7584 0.6312
W: 0.0028 0.6730 0.9219
W: 0.0028 0.8270 0.4219
W: 0.4352 0.0526 0.0820
W: 0.4352 0.4474 0.5820
W: 0.5648 0.5526 0.4180
W: 0.5648 0.9474 0.9180
W: 0.9972 0.1730 0.5781
W: 0.9972 0.3270 0.0781
O: 0.1345 0.5809 0.0817
O: 0.1345 0.9191 0.5817
O: 0.1391 0.5110 0.8772
O: 0.1391 0.9890 0.3772
O: 0.1784 0.2178 0.2051
O: 0.1784 0.2822 0.7051
O: 0.1884 0.6380 0.4790
O: 0.1884 0.8620 0.9790
O: 0.1940 0.2241 0.0270
O: 0.1940 0.2759 0.5270
O: 0.3806 0.7286 0.3392
O: 0.3806 0.7714 0.8392
O: 0.3962 0.1251 0.9344
O: 0.3962 0.3749 0.4344
O: 0.4098 0.5570 0.6889
O: 0.4098 0.9430 0.1889
O: 0.5902 0.0570 0.8111
O: 0.5902 0.4430 0.3111
O: 0.6038 0.6251 0.5656
O: 0.6038 0.8749 0.0656
O: 0.6194 0.2286 0.1608
O: 0.6194 0.2714 0.6608
O: 0.8060 0.7241 0.4730
O: 0.8060 0.7759 0.9730
O: 0.8116 0.1380 0.0210
O: 0.8116 0.3620 0.5210
O: 0.8216 0.7178 0.2949
O: 0.8216 0.7822 0.7949
O: 0.8609 0.0110 0.6228
O: 0.8609 0.4890 0.1228
O: 0.8655 0.0809 0.4183
O: 0.8655 0.4191 0.9183

Energy with MP2020 corrections in eV per atom: -8.114
Crystal system: monoclinic
Space group: P2_1/c, No. 14

=====

Record 4
Below is crystalline LiVSiO4 at its relaxed geometry, with properties calculated at the GGA+U level.

a = 4.9735 Å, b = 9.2435 Å, c = 6.2416 Å
α = 90.00°, β = 90.00°, γ = 97.01°
Element x y z (fractional)
Li: 0.4937 0.1646 0.2500
Li: 0.9937 0.6646 0.2500
Li: 0.0063 0.3354 0.7500
Li: 0.5063 0.8354 0.7500
V: 0.5000 0.5000 0.0000
V: 0.0000 0.0000 0.5000
V: 0.0000 0.0000 0.0000
V: 0.5000 0.5000 0.5000
Si: 0.5226 0.1742 0.7500
Si: 0.0226 0.6742 0.7500
Si: 0.9774 0.3258 0.2500
Si: 0.4774 0.8258 0.2500
O: 0.6706 0.3837 0.2501
O: 0.1706 0.8837 0.2499
O: 0.5891 0.3566 0.7500
O: 0.0891 0.8566 0.7500
O: 0.8294 0.1163 0.7501
O: 0.3294 0.6163 0.7499
O: 0.9109 0.1434 0.2500
O: 0.4109 0.6434 0.2500
O: 0.1446 0.3815 0.0356
O: 0.6446 0.8815 0.0356
O: 0.3554 0.1185 0.5356
O: 0.8554 0.6185 0.5356
O: 0.1446 0.3815 0.4644
O: 0.6446 0.8815 0.4644
O: 0.3554 0.1185 0.9644
O: 0.8554 0.6185 0.9644

Energy with MP2020 corrections in eV per atom: -8.012

=====

Record 5
Below is crystalline MgNiB2P2H12O16 at its relaxed geometry, with properties calculated at the GGA+U level.

a = 9.9212 Å, b = 9.9212 Å, c = 9.9212 Å
α = 99.25°, β = 99.25°, γ = 99.25°
Element x y z (fractional)
Mg: 0.0000 0.4991 0.5009
Mg: 0.4991 0.5009 0.0000
Mg: 0.5009 0.0000 0.4991
Ni: 0.0011 0.9989 0.5000
Ni: 0.5000 0.0011 0.9989
Ni: 0.9989 0.5000 0.0011
B: 0.0000 0.1901 0.8099
B: 0.1901 0.8099 0.0000
B: 0.3105 0.6895 0.5000
B: 0.5000 0.3105 0.6895
B: 0.6895 0.5000 0.3105
B: 0.8099 0.0000 0.1901
P: 0.0000 0.8094 0.1906
P: 0.1906 0.0000 0.8094
P: 0.3112 0.5000 0.6888
P: 0.5000 0.6888 0.3112
P: 0.6888 0.3112 0.5000
P: 0.8094 0.1906 0.0000
H: 0.0471 0.7285 0.7068
H: 0.0808 0.2734 0.3768
H: 0.0877 0.3783 0.7771
H: 0.1167 0.4198 0.2241
H: 0.1215 0.7204 0.4150
H: 0.2035 0.2226 0.5485
H: 0.2226 0.5485 0.2035
H: 0.2229 0.6217 0.9123
H: 0.2241 0.1167 0.4198
H: 0.2715 0.9529 0.2932
H: 0.2734 0.3768 0.0808
H: 0.2796 0.8785 0.5850
H: 0.2932 0.2715 0.9529
H: 0.3768 0.0808 0.2734
H: 0.3783 0.7771 0.0877
H: 0.4150 0.1215 0.7204
H: 0.4198 0.2241 0.1167
H: 0.4515 0.7774 0.7965
H: 0.5485 0.2035 0.2226
H: 0.5802 0.8833 0.7759
H: 0.5850 0.2796 0.8785
H: 0.6217 0.9123 0.2229
H: 0.6232 0.7266 0.9192
H: 0.7068 0.0471 0.7285
H: 0.7204 0.4150 0.1215
H: 0.7266 0.9192 0.6232
H: 0.7285 0.7068 0.0471
H: 0.7759 0.5802 0.8833
H: 0.7771 0.0877 0.3783
H: 0.7774 0.7965 0.4515
H: 0.7965 0.4515 0.7774
H: 0.8785 0.5850 0.2796
H: 0.8833 0.7759 0.5802
H: 0.9123 0.2229 0.6217
H: 0.9192 0.6232 0.7266
H: 0.9529 0.2932 0.2715
O: 0.0372 0.3460 0.3365
O: 0.0440 0.3411 0.8504
O: 0.0564 0.8530 0.3473
O: 0.1192 0.1241 0.8602
O: 0.1241 0.8602 0.1192
O: 0.1398 0.8759 0.8808
O: 0.1470 0.9436 0.6527
O: 0.1496 0.6589 0.9560
O: 0.1510 0.1570 0.4643
O: 0.1536 0.4511 0.6428
O: 0.1570 0.4643 0.1510
O: 0.1587 0.6478 0.4608
O: 0.3365 0.0372 0.3460
O: 0.3411 0.8504 0.0440
O: 0.3460 0.3365 0.0372
O: 0.3473 0.0564 0.8530
O: 0.3522 0.8413 0.5392
O: 0.3572 0.5489 0.8464
O: 0.3647 0.6271 0.6218
O: 0.3729 0.6352 0.3782
O: 0.3782 0.3729 0.6353
O: 0.4511 0.6428 0.1536
O: 0.4608 0.1587 0.6478
O: 0.4643 0.1510 0.1570
O: 0.5357 0.8430 0.8490
O: 0.5392 0.3522 0.8413
O: 0.5489 0.8464 0.3572
O: 0.6218 0.3647 0.6271
O: 0.6271 0.6218 0.3647
O: 0.6353 0.3782 0.3729
O: 0.6428 0.1536 0.4511
O: 0.6478 0.4608 0.1587
O: 0.6527 0.1470 0.9436
O: 0.6540 0.9628 0.6635
O: 0.6589 0.9560 0.1496
O: 0.6635 0.6540 0.9628
O: 0.8413 0.5392 0.3522
O: 0.8430 0.8490 0.5357
O: 0.8464 0.3572 0.5489
O: 0.8490 0.5357 0.8430
O: 0.8504 0.0440 0.3411
O: 0.8530 0.3473 0.0564
O: 0.8602 0.1192 0.1241
O: 0.8759 0.8808 0.1398
O: 0.8808 0.1398 0.8759
O: 0.9436 0.6527 0.1470
O: 0.9560 0.1496 0.6589
O: 0.9628 0.6635 0.6540

Energy with MP2020 corrections in eV per atom: -6.401
Crystal system: trigonal
Space group: R32, No. 155

=====

Record 6
Below is crystalline NiH6S2O12 at its relaxed geometry, with properties calculated at the GGA+U level.

a = 6.0952 Å, b = 6.3566 Å, c = 8.5417 Å
α = 78.51°, β = 80.27°, γ = 86.51°
Element x y z (fractional)
Ni: 0.0000 0.0000 0.0000
H: 0.0520 0.2872 0.7210
H: 0.1480 0.1306 0.5400
H: 0.2380 0.7240 0.8572
H: 0.7620 0.2760 0.1428
H: 0.8520 0.8694 0.4600
H: 0.9480 0.7128 0.2790
S: 0.4911 0.6429 0.5667
S: 0.5089 0.3571 0.4333
O: 0.0205 0.8535 0.2465
O: 0.0795 0.0195 0.6358
O: 0.1935 0.8042 0.9465
O: 0.2740 0.3396 0.4159
O: 0.3427 0.5615 0.7181
O: 0.4045 0.8138 0.4508
O: 0.5955 0.1862 0.5492
O: 0.6573 0.4385 0.2819
O: 0.7260 0.6604 0.5841
O: 0.8065 0.1958 0.0535
O: 0.9205 0.9805 0.3642
O: 0.9795 0.1465 0.7535

Energy with MP2020 corrections in eV per atom: -5.490
Crystal system: triclinic
Space group: P-1, No. 2

=====

Record 7
Below is crystalline K3HoMgV2O8 at its relaxed geometry, with properties calculated at the GGA+U level.

a = 6.2600 Å, b = 6.2600 Å, c = 8.0512 Å
α = 93.00°, β = 93.00°, γ = 58.86°
Element x y z (fractional)
K: 0.0000 0.0000 0.0000
K: 0.2887 0.2887 0.7273
K: 0.7113 0.7113 0.2727
Ho: 0.0000 0.0000 0.5000
Mg: 0.5000 0.5000 0.5000
V: 0.3092 0.3092 0.2462
V: 0.6908 0.6908 0.7538
O: 0.1561 0.1561 0.3173
O: 0.1880 0.6294 0.3601
O: 0.3262 0.3262 0.0370
O: 0.3706 0.8120 0.6399
O: 0.6294 0.1880 0.3601
O: 0.6738 0.6738 0.9630
O: 0.8120 0.3706 0.6399
O: 0.8439 0.8439 0.6827

Energy with MP2020 corrections in eV per atom: -7.019
Crystal system: monoclinic
Space group: C2/m, No. 12

=====

Record 8
Below is crystalline Fe2CoO6 at its relaxed geometry, with properties calculated at the GGA+U level.

a = 8.3846 Å, b = 8.3846 Å, c = 4.4141 Å
α = 90.00°, β = 90.00°, γ = 120.00°
Element x y z (fractional)
Fe: 0.0000 0.3115 0.0000
Fe: 0.0000 0.6435 0.5000
Fe: 0.3115 0.0000 0.0000
Fe: 0.3565 0.3565 0.5000
Fe: 0.6435 0.0000 0.5000
Fe: 0.6885 0.6885 0.0000
Co: 0.0000 0.0000 0.5000
Co: 0.3333 0.6667 0.0044
Co: 0.6667 0.3333 0.9956
O: 0.0960 0.8827 0.2735
O: 0.1173 0.2133 0.2735
O: 0.1183 0.5422 0.2350
O: 0.2133 0.1173 0.7265
O: 0.2238 0.7734 0.7716
O: 0.2266 0.4504 0.7716
O: 0.4239 0.8817 0.2350
O: 0.4504 0.2266 0.2284
O: 0.4578 0.5761 0.2350
O: 0.5422 0.1183 0.7650
O: 0.5496 0.7762 0.7716
O: 0.5761 0.4578 0.7650
O: 0.7734 0.2238 0.2284
O: 0.7762 0.5496 0.2284
O: 0.7867 0.9040 0.2735
O: 0.8817 0.4239 0.7650
O: 0.8827 0.0960 0.7265
O: 0.9040 0.7867 0.7265

Energy with MP2020 corrections in eV per atom: -7.141
Crystal system: trigonal
Space group: P321, No. 150

=====

Asked for electronic total energy across the records above, the calculation gives -5.485 -6.560 -6.916 -7.376 -6.003 -4.976 -6.425 -6.000 eV/atom in order.